(1)
## TiNbS4 (meta-GGA r2SCAN)

Data for a geometry-optimized TiNbS4 structure.

magnetic moment	0.0	μB per cell
formation energy	-1.29	eV/atom

abc: 6.943 6.943 5.911
angles: 115.17 115.17 28.36
Sites, in units of the cell vectors:
Ti: 0.000 0.000 0.000
Nb: 0.500 0.500 0.500
S: 0.123 0.123 0.796
S: 0.380 0.380 0.718
S: 0.620 0.620 0.282
S: 0.877 0.877 0.204


(2)
## YbB2Ir3 (meta-GGA r2SCAN)

Data for a geometry-optimized YbB2Ir3 structure.

magnetic moment	0.0	μB per cell
formation energy	-0.77	eV/atom

abc: 5.408 5.408 3.139
angles: 90.00 90.00 120.00
Sites, in units of the cell vectors:
Yb: 0.000 0.000 0.000
B: 0.333 0.667 0.000
B: 0.667 0.333 0.000
Ir: 0.000 0.500 0.500
Ir: 0.500 0.000 0.500
Ir: 0.500 0.500 0.500


(3)
## Dy2MgS4 (meta-GGA r2SCAN)

Data for a geometry-optimized Dy2MgS4 structure.

magnetic moment	0.0	μB per cell
energy above the lowest structure with this stoichiometry	0	meV/atom
formation energy	-2.17	eV/atom

abc: 7.869 7.869 7.869
angles: 60.00 60.00 60.00
Sites, in units of the cell vectors:
Dy: 0.000 0.000 0.000
Dy: 0.000 0.000 0.500
Dy: 0.000 0.500 0.000
Dy: 0.500 0.000 0.000
Mg: 0.375 0.375 0.375
Mg: 0.625 0.625 0.625
S: 0.236 0.755 0.755
S: 0.245 0.245 0.245
S: 0.245 0.245 0.764
S: 0.245 0.764 0.245
S: 0.755 0.236 0.755
S: 0.755 0.755 0.236
S: 0.755 0.755 0.755
S: 0.764 0.245 0.245


> Which formula does entry 3 have?

Dy2MgS4